VASP calculation (GGA+U) on a geometry-optimized LiMg6FeO8 structure.

Output
Offset from the most stable computed form   0 meV per atom
Crystal system   tetragonal
SG   P4/mmm

Cell: 4.216 4.216 8.553 Å, 90.00 90.00 90.00°
Sites, in units of the cell vectors:
Li1 0.000 0.000 0.000
Mg1 0.000 0.000 0.500
Mg2 0.000 0.500 0.247
Mg3 0.000 0.500 0.753
Mg4 0.500 0.000 0.247
Mg5 0.500 0.000 0.753
Mg6 0.500 0.500 0.500
Fe1 0.500 0.500 0.000
O1 0.000 0.000 0.257
O2 0.000 0.000 0.743
O3 0.000 0.500 0.000
O4 0.000 0.500 0.500
O5 0.500 0.000 0.000
O6 0.500 0.000 0.500
O7 0.500 0.500 0.241
O8 0.500 0.500 0.759

***

VASP calculation (GGA+U) on a geometry-optimized Li3Mg2Fe19O32 structure.

Output
Crystal system   monoclinic
SG   Cm

Cell: 5.996 5.996 19.976 Å, 98.30 98.30 60.50°
Sites, in units of the cell vectors:
Li1 0.000 0.000 0.000
Li2 0.253 0.253 0.752
Li3 0.503 0.503 0.503
Mg1 0.287 0.287 0.349
Mg2 0.528 0.528 0.091
Fe1 0.002 0.505 0.000
Fe2 0.010 0.502 0.503
Fe3 0.029 0.029 0.598
Fe4 0.127 0.127 0.877
Fe5 0.222 0.222 0.154
Fe6 0.252 0.753 0.752
Fe7 0.258 0.754 0.251
Fe8 0.380 0.380 0.628
Fe9 0.479 0.479 0.906
Fe10 0.502 0.010 0.503
Fe11 0.505 0.002 0.000
Fe12 0.628 0.628 0.377
Fe13 0.729 0.729 0.656
Fe14 0.752 0.752 0.251
Fe15 0.753 0.252 0.752
Fe16 0.754 0.258 0.251
Fe17 0.776 0.776 0.845
Fe18 0.879 0.879 0.119
Fe19 0.979 0.979 0.409
O1 0.056 0.587 0.192
O2 0.057 0.057 0.191
O3 0.061 0.061 0.695
O4 0.087 0.564 0.689
O5 0.159 0.691 0.062
O6 0.192 0.192 0.058
O7 0.193 0.672 0.565
O8 0.198 0.198 0.564
O9 0.308 0.308 0.940
O10 0.312 0.312 0.449
O11 0.314 0.835 0.939
O12 0.337 0.816 0.437
O13 0.416 0.943 0.813
O14 0.444 0.444 0.808
O15 0.454 0.454 0.311
O16 0.455 0.915 0.310
O17 0.559 0.559 0.691
O18 0.564 0.087 0.689
O19 0.568 0.568 0.195
O20 0.587 0.056 0.192
O21 0.672 0.193 0.565
O22 0.691 0.159 0.062
O23 0.696 0.696 0.558
O24 0.700 0.700 0.060
O25 0.810 0.810 0.440
O26 0.810 0.810 0.942
O27 0.816 0.337 0.437
O28 0.835 0.314 0.939
O29 0.915 0.455 0.310
O30 0.941 0.941 0.307
O31 0.943 0.416 0.813
O32 0.946 0.946 0.812

***

VASP calculation (GGA+U) on a geometry-optimized LiMg6FeO8 structure.

Output
Offset from the most stable computed form   9 meV per atom
Crystal system   tetragonal
SG   P4/mmm

Cell: 4.236 4.236 8.555 Å, 90.00 90.00 90.00°
Sites, in units of the cell vectors:
Li1 0.000 0.000 0.000
Mg1 0.000 0.500 0.237
Mg2 0.000 0.500 0.763
Mg3 0.500 0.000 0.237
Mg4 0.500 0.000 0.763
Mg5 0.500 0.500 0.000
Mg6 0.500 0.500 0.500
Fe1 0.000 0.000 0.500
O1 0.000 0.000 0.269
O2 0.000 0.000 0.731
O3 0.000 0.500 0.000
O4 0.000 0.500 0.500
O5 0.500 0.000 0.000
O6 0.500 0.000 0.500
O7 0.500 0.500 0.254
O8 0.500 0.500 0.746

***

VASP calculation (GGA+U) on a geometry-optimized Li4Mn2Nb3Fe3O16 structure.

Output
Crystal system   monoclinic
SG   Cm

Cell: 6.059 6.059 9.922 Å, 91.32 91.32 61.09°
Sites, in units of the cell vectors:
Li1 0.000 0.000 0.000
Li2 0.007 0.007 0.505
Li3 0.359 0.359 0.409
Li4 0.687 0.687 0.883
Mn1 0.369 0.369 0.995
Mn2 0.692 0.692 0.502
Nb1 0.190 0.190 0.721
Nb2 0.365 0.865 0.220
Nb3 0.865 0.365 0.220
Fe1 0.195 0.680 0.719
Fe2 0.680 0.195 0.719
Fe3 0.853 0.853 0.226
O1 0.019 0.019 0.817
O2 0.035 0.035 0.325
O3 0.051 0.499 0.836
O4 0.185 0.185 0.112
O5 0.188 0.710 0.118
O6 0.336 0.863 0.604
O7 0.348 0.348 0.607
O8 0.499 0.051 0.836
O9 0.505 0.505 0.833
O10 0.535 0.993 0.346
O11 0.549 0.549 0.347
O12 0.677 0.677 0.106
O13 0.710 0.188 0.118
O14 0.851 0.851 0.607
O15 0.863 0.336 0.604
O16 0.993 0.535 0.346

***

VASP calculation (GGA+U) on a geometry-optimized Li10Mn2Fe3Ni3O16 structure.

Output
Crystal system   monoclinic
SG   Cm

Cell: 5.952 5.952 9.787 Å, 90.72 90.72 60.35°
Sites, in units of the cell vectors:
Li1 0.000 0.000 0.000
Li2 0.000 0.000 0.496
Li3 0.201 0.201 0.428
Li4 0.204 0.612 0.425
Li5 0.332 0.332 0.209
Li6 0.393 0.809 0.937
Li7 0.612 0.204 0.425
Li8 0.662 0.662 0.708
Li9 0.806 0.806 0.931
Li10 0.809 0.393 0.937
Mn1 0.331 0.331 0.955
Mn2 0.665 0.665 0.452
Fe1 0.169 0.657 0.698
Fe2 0.657 0.169 0.698
Fe3 0.827 0.827 0.200
Ni1 0.165 0.165 0.698
Ni2 0.339 0.833 0.197
Ni3 0.833 0.339 0.197
O1 0.028 0.487 0.827
O2 0.167 0.656 0.068
O3 0.172 0.172 0.062
O4 0.332 0.820 0.578
O5 0.335 0.335 0.580
O6 0.486 0.486 0.828
O7 0.487 0.028 0.827
O8 0.508 0.999 0.318
O9 0.517 0.517 0.328
O10 0.656 0.167 0.068
O11 0.671 0.671 0.078
O12 0.820 0.332 0.578
O13 0.827 0.827 0.577
O14 0.991 0.991 0.809
O15 0.997 0.997 0.303
O16 0.999 0.508 0.318

***

VASP calculation (GGA+U) on a geometry-optimized Li4Mn2Fe3Ni3O16 structure.

Output
Crystal system   monoclinic
SG   Cm

Cell: 5.831 5.831 9.378 Å, 91.49 91.49 59.21°
Sites, in units of the cell vectors:
Li1 0.000 0.000 0.000
Li2 0.001 0.001 0.503
Li3 0.336 0.336 0.599
Li4 0.664 0.664 0.094
Mn1 0.326 0.326 0.008
Mn2 0.665 0.665 0.511
Fe1 0.167 0.658 0.282
Fe2 0.658 0.167 0.282
Fe3 0.828 0.828 0.781
Ni1 0.168 0.168 0.284
Ni2 0.338 0.830 0.782
Ni3 0.830 0.338 0.782
O1 0.004 0.004 0.691
O2 0.005 0.005 0.191
O3 0.037 0.479 0.146
O4 0.153 0.659 0.899
O5 0.159 0.159 0.900
O6 0.326 0.326 0.389
O7 0.334 0.826 0.402
O8 0.477 0.477 0.147
O9 0.479 0.037 0.146
O10 0.522 0.522 0.651
O11 0.529 0.963 0.648
O12 0.659 0.153 0.899
O13 0.659 0.659 0.884
O14 0.826 0.334 0.402
O15 0.828 0.828 0.395
O16 0.963 0.529 0.648

***

VASP calculation (GGA+U) on a geometry-optimized Li4Mn2FeNi3P6O24 structure.

Output
Crystal system   triclinic
SG   P1

Cell: 8.458 8.557 8.568 Å, 62.36 62.68 62.68°
Sites, in units of the cell vectors:
Li1 0.000 0.000 0.000
Li2 0.098 0.500 0.877
Li3 0.476 0.704 0.296
Li4 0.895 0.079 0.499
Mn1 0.259 0.855 0.644
Mn2 0.734 0.357 0.146
Fe1 0.896 0.502 0.302
Ni1 0.102 0.703 0.500
Ni2 0.392 0.000 0.794
Ni3 0.604 0.207 0.000
P1 0.195 0.104 0.191
P2 0.300 0.603 0.100
P3 0.500 0.398 0.603
P4 0.698 0.904 0.401
P5 0.800 0.810 0.902
P6 0.999 0.305 0.701
O1 0.064 0.458 0.674
O2 0.137 0.536 0.147
O3 0.150 0.108 0.717
O4 0.180 0.947 0.389
O5 0.204 0.046 0.043
O6 0.278 0.663 0.255
O7 0.292 0.768 0.915
O8 0.345 0.597 0.580
O9 0.358 0.163 0.143
O10 0.437 0.244 0.634
O11 0.492 0.449 0.074
O12 0.504 0.919 0.554
O13 0.567 0.365 0.755
O14 0.635 0.854 0.845
O15 0.653 0.427 0.402
O16 0.694 0.089 0.235
O17 0.739 0.742 0.339
O18 0.788 0.958 0.962
O19 0.821 0.609 0.056
O20 0.847 0.279 0.896
O21 0.853 0.875 0.468
O22 0.934 0.346 0.541
O23 0.996 0.260 0.226
O24 0.997 0.782 0.743

***

VASP calculation (GGA+U) on a geometry-optimized Li4Mn5Fe4O18 structure.

Output
Offset from the most stable computed form   7 meV per atom
Crystal system   monoclinic
SG   P2/m

Cell: 9.118 2.910 24.910 Å, 90.00 90.18 90.00°
Sites, in units of the cell vectors:
Li1 0.178 0.000 0.006
Li2 0.205 0.000 0.796
Li3 0.291 0.000 0.295
Li4 0.321 0.000 0.506
Li5 0.679 0.000 0.494
Li6 0.709 0.000 0.705
Li7 0.795 0.000 0.204
Li8 0.822 0.000 0.994
Mn1 0.000 0.000 0.500
Mn2 0.005 0.000 0.895
Mn3 0.149 0.500 0.190
Mn4 0.349 0.500 0.691
Mn5 0.494 0.000 0.395
Mn6 0.500 0.000 0.000
Mn7 0.506 0.000 0.605
Mn8 0.651 0.500 0.309
Mn9 0.851 0.500 0.810
Mn10 0.995 0.000 0.105
Fe1 0.019 0.000 0.691
Fe2 0.147 0.500 0.411
Fe3 0.350 0.500 0.911
Fe4 0.486 0.000 0.192
Fe5 0.514 0.000 0.808
Fe6 0.650 0.500 0.089
Fe7 0.853 0.500 0.589
Fe8 0.981 0.000 0.309
O1 0.003 0.000 0.423
O2 0.041 0.500 0.058
O3 0.048 0.500 0.841
O4 0.102 0.000 0.238
O5 0.118 0.500 0.331
O6 0.141 0.500 0.496
O7 0.151 0.500 0.717
O8 0.184 0.000 0.141
O9 0.203 0.000 0.919
O10 0.297 0.000 0.418
O11 0.311 0.000 0.641
O12 0.348 0.500 0.214
O13 0.355 0.500 0.998
O14 0.386 0.500 0.833
O15 0.393 0.000 0.739
O16 0.452 0.500 0.341
O17 0.454 0.500 0.558
O18 0.494 0.000 0.924
O19 0.506 0.000 0.076
O20 0.546 0.500 0.442
O21 0.548 0.500 0.659
O22 0.607 0.000 0.261
O23 0.614 0.500 0.167
O24 0.645 0.500 0.002
O25 0.652 0.500 0.786
O26 0.689 0.000 0.359
O27 0.703 0.000 0.582
O28 0.797 0.000 0.081
O29 0.816 0.000 0.859
O30 0.849 0.500 0.283
O31 0.859 0.500 0.504
O32 0.882 0.500 0.669
O33 0.898 0.000 0.762
O34 0.952 0.500 0.159
O35 0.959 0.500 0.942
O36 0.997 0.000 0.577

***

VASP calculation (GGA+U) on a geometry-optimized Li4Mn5Fe3O16 structure.

Output
Crystal system   monoclinic
SG   Cm

Cell: 5.903 5.903 9.498 Å, 91.11 91.11 59.81°
Sites, in units of the cell vectors:
Li1 0.000 0.000 0.000
Li2 0.002 0.002 0.504
Li3 0.330 0.330 0.405
Li4 0.663 0.663 0.904
Mn1 0.173 0.173 0.721
Mn2 0.334 0.334 0.992
Mn3 0.338 0.829 0.221
Mn4 0.669 0.669 0.493
Mn5 0.829 0.338 0.221
Fe1 0.174 0.662 0.720
Fe2 0.662 0.174 0.720
Fe3 0.830 0.830 0.220
O1 0.005 0.005 0.315
O2 0.009 0.009 0.814
O3 0.041 0.472 0.851
O4 0.163 0.163 0.112
O5 0.165 0.670 0.108
O6 0.327 0.327 0.612
O7 0.336 0.839 0.607
O8 0.472 0.041 0.851
O9 0.481 0.481 0.852
O10 0.514 0.956 0.350
O11 0.519 0.519 0.349
O12 0.659 0.659 0.115
O13 0.670 0.165 0.108
O14 0.834 0.834 0.602
O15 0.839 0.336 0.607
O16 0.956 0.514 0.350

***

VASP calculation (GGA+U) on a geometry-optimized Li3Mn4Fe2O12 structure.

Output
Crystal system   triclinic
SG   P-1

Cell: 5.931 5.946 14.451 Å, 91.05 90.09 119.49°
Sites, in units of the cell vectors:
Li1 0.014 0.007 0.128
Li2 0.332 0.654 0.461
Li3 0.335 0.679 0.205
Li4 0.665 0.321 0.795
Li5 0.668 0.346 0.539
Li6 0.986 0.993 0.872
Mn1 0.000 0.000 0.500
Mn2 0.000 0.500 0.000
Mn3 0.163 0.331 0.666
Mn4 0.324 0.653 0.834
Mn5 0.337 0.169 0.333
Mn6 0.663 0.831 0.667
Mn7 0.676 0.347 0.166
Mn8 0.837 0.669 0.334
Fe1 0.164 0.831 0.667
Fe2 0.500 0.000 0.000
Fe3 0.500 0.500 0.000
Fe4 0.836 0.169 0.333
O1 0.005 0.989 0.265
O2 0.029 0.506 0.746
O3 0.129 0.825 0.420
O4 0.154 0.290 0.416
O5 0.168 0.800 0.919
O6 0.171 0.365 0.919
O7 0.297 0.152 0.586
O8 0.322 0.666 0.070
O9 0.334 0.652 0.598
O10 0.377 0.194 0.085
O11 0.453 0.484 0.752
O12 0.477 0.949 0.752
O13 0.523 0.051 0.248
O14 0.547 0.516 0.248
O15 0.623 0.806 0.915
O16 0.666 0.348 0.402
O17 0.678 0.334 0.930
O18 0.703 0.848 0.414
O19 0.829 0.635 0.081
O20 0.832 0.200 0.081
O21 0.846 0.710 0.584
O22 0.871 0.175 0.580
O23 0.971 0.494 0.254
O24 0.995 0.011 0.735

***

Computed E_form, in the same sequence as the records: -2.75 -1.79 -2.74 -2.34 -1.83 -1.59 -2.34 -1.84 -1.93 -1.99 eV per atom.